## Zr3Bi (meta-GGA r2SCAN)

Data for Zr3Bi after structural relaxation.

Space group: I-4 (82)

Cell: 5.8364 8.6497 8.6494 Å, 83.47 70.28 70.28°
With the nearest neighbours (Å) after each atom.
Fractional coordinates of all 16 atoms:
Zr  0.5474  0.9711  0.3988  3 Bi 2.96-3.15, 3 Zr 3.07-3.28
Zr  0.9172  0.0290  0.6013  3 Bi 2.96-3.15, 3 Zr 3.07-3.28
Zr  0.0537  0.3987  0.0290  3 Bi 2.96-3.15, 3 Zr 3.07-3.28
Zr  0.4814  0.6013  0.9710  3 Bi 2.96-3.15, 3 Zr 3.07-3.28
Zr  0.1742  0.3307  0.3790  4 Bi 3.00-3.03, 3 Zr 3.16-3.28
Zr  0.8840  0.6693  0.6210  4 Bi 3.00-3.03, 3 Zr 3.16-3.28
Zr  0.4469  0.3790  0.6692  4 Bi 3.00-3.03, 3 Zr 3.16-3.28
Zr  0.4950  0.6210  0.3308  4 Bi 3.00-3.03, 3 Zr 3.16-3.28
Zr  0.3793  0.0252  0.8150  2 Bi 2.99-3.15, 5 Zr 3.04-3.27
Zr  0.2194  0.9748  0.1850  2 Bi 2.99-3.15, 5 Zr 3.04-3.27
Zr  0.8058  0.8151  0.9748  2 Bi 2.99-3.15, 5 Zr 3.04-3.27
Zr  0.5956  0.1849  0.0252  2 Bi 2.99-3.15, 5 Zr 3.04-3.27
Bi  0.3194  0.7454  0.6771  9 Zr 2.96-3.15
Bi  0.7418  0.2547  0.3228  9 Zr 2.96-3.15
Bi  0.0035  0.6772  0.2547  9 Zr 2.96-3.15
Bi  0.9353  0.3228  0.7453  9 Zr 2.96-3.15



## MgAg4Te8Mo2O24 (meta-GGA r2SCAN)

Data for MgAg4Te8Mo2O24 after structural relaxation.

Space group: P1 (1)

Cell: 5.5642 9.2689 11.7650 Å, 102.27 91.43 107.82°
With the nearest neighbours (Å) after each atom.
Fractional coordinates of all 39 atoms:
Mg  0.0265  0.5927  0.7803  5 O 2.06-2.23
Ag  0.9542  0.4282  0.2518  5 O 2.32-2.44
Ag  0.5142  0.5711  0.2352  6 O 2.40-2.67
Ag  0.0016  0.4965  0.4939  2 O 2.21-2.23
Ag  0.4645  0.4253  0.7729  3 O 2.33-2.59
Te  0.0003  0.6963  0.0665  3 O 1.88-1.95
Te  0.3495  0.2880  0.4134  3 O 1.88-2.07
Te  0.0011  0.3250  0.9505  3 O 1.90-1.97
Te  0.6829  0.7139  0.6055  3 O 1.89-2.03
Te  0.5805  0.8399  0.9165  3 O 1.85-2.01
Te  0.8289  0.1905  0.6043  3 O 1.86-1.92
Te  0.4136  0.1693  0.0997  3 O 1.86-2.01
Te  0.2095  0.8337  0.4187  3 O 1.85-1.98
Mo  0.1737  0.0155  0.7745  1 O 1.71
Mo  0.8365  0.0008  0.2487  1 O 1.73
O  0.8483  0.9864  0.8728  1 Te 1.85
O  0.9143  0.0308  0.6522  1 Te 1.87, 1 Mo 2.07
O  0.1315  0.0257  0.1381  1 Te 1.86
O  0.1077  0.9859  0.3688  1 Te 1.87
O  0.7584  0.7787  0.1528  1 Te 1.95, 1 Mo 2.03
O  0.0200  0.2253  0.3268  1 Te 1.93, 1 Mo 2.01
O  0.2406  0.2338  0.8650  1 Te 1.97, 1 Mo 1.99
O  0.9951  0.7883  0.7078  1 Te 1.94, 1 Mo 2.00
O  0.8154  0.4935  0.0764  1 Te 1.88
O  0.3722  0.4985  0.4289  1 Te 1.88
O  0.1821  0.5234  0.9251  1 Te 1.90
O  0.7145  0.5213  0.6196  1 Te 1.89
O  0.3478  0.9646  0.9019  1 Mo 1.98, 1 Te 2.01
O  0.4148  0.0483  0.6857  1 Mo 1.71
O  0.6384  0.0465  0.1308  1 Mo 1.94, 1 Te 2.01
O  0.6083  0.9646  0.3449  1 Mo 1.73
O  0.8439  0.6824  0.9145  1 Te 1.93, 1 Mg 2.06
O  0.1654  0.2948  0.5700  2 Te 1.92-2.13
O  0.1814  0.3357  0.0930  1 Te 1.90
O  0.8735  0.7210  0.4610  2 Te 1.98-2.03
O  0.4375  0.7003  0.7656  1 Te 1.94
O  0.8678  0.3430  0.7415  1 Te 1.86
O  0.5098  0.2996  0.2574  2 Te 1.95-2.07
O  0.1719  0.6921  0.2778  1 Te 1.85



## BaAl2Cl8 (meta-GGA r2SCAN)

Data for BaAl2Cl8 after structural relaxation.

Space group: P2/c (13)

Cell: 7.1736 7.9120 12.6057 Å, 78.85 90.00 90.00°
With the nearest neighbours (Å) after each atom.
Fractional coordinates of all 22 atoms:
Ba  0.8510  0.5000  0.7500  8 Cl 3.19-3.26
Ba  0.1490  0.5000  0.2500  8 Cl 3.19-3.26
Al  0.2742  0.7018  0.5578  4 Cl 2.14-2.15
Al  0.7258  0.7018  0.0578  4 Cl 2.14-2.15
Al  0.7258  0.2982  0.4422  4 Cl 2.14-2.15
Al  0.2742  0.2982  0.9422  4 Cl 2.14-2.15
Cl  0.7943  0.4323  0.1017  1 Al 2.15
Cl  0.7943  0.5677  0.3983  1 Al 2.15
Cl  0.2806  0.7801  0.3853  1 Al 2.14
Cl  0.2806  0.2199  0.1147  1 Al 2.14
Cl  0.7194  0.2199  0.6147  1 Al 2.14
Cl  0.7194  0.7801  0.8853  1 Al 2.14
Cl  0.0605  0.8365  0.6267  1 Al 2.14
Cl  0.0605  0.1635  0.8733  1 Al 2.14
Cl  0.9395  0.1635  0.3733  1 Al 2.14
Cl  0.9395  0.8365  0.1267  1 Al 2.14
Cl  0.5418  0.7521  0.6203  1 Al 2.14
Cl  0.5418  0.2479  0.8797  1 Al 2.14
Cl  0.4582  0.2479  0.3797  1 Al 2.14
Cl  0.4582  0.7521  0.1203  1 Al 2.14
Cl  0.2057  0.4323  0.6017  1 Al 2.15
Cl  0.2057  0.5677  0.8983  1 Al 2.15



| no. | total DFT energy (no corrections) (Ha/atom) | formation energy from the elements (meV/atom) |
| --- | --- | --- |
| 1 | -1.17617 | -317 |
| 2 | -0.50516 | -1223 |
| 3 | -0.37296 | -2041 |